# 1
MnO2 GGA+U relaxed; DFT total energy = -7.128 eV/atom
1.0
4.564 -2.197 4.741
5.116 -3.977 2.476
3.411 2.855 -1.412
Mn O
3 6
Cartesian
0.000 0.000 0.000
5.147 -0.582 1.714
7.945 -2.738 4.092
3.057 1.313 -0.286
10.034 -4.633 6.091
7.046 -0.178 1.860
6.045 -3.142 3.945
3.256 -0.632 1.292
9.835 -2.688 4.514

# 2
Li10Mg12FeP12O48 GGA+U relaxed; DFT total energy = -6.709 eV/atom
1.0
-2.196 5.548 -0.046
-4.544 -1.704 9.033
11.634 4.737 6.754
Li Mg Fe P O
10 12 1 12 48
Cartesian
2.780 4.354 2.229
1.016 7.002 13.488
2.113 4.227 13.513
0.000 0.000 0.000
-1.098 2.774 -0.023
3.878 1.579 2.253
-0.335 -0.062 5.639
5.228 8.643 10.103
-1.431 2.708 5.619
6.324 5.873 10.123
4.443 6.755 12.581
-3.315 3.592 8.079
0.555 5.209 10.332
7.735 4.864 13.226
-0.025 1.701 8.729
3.859 3.271 10.976
4.918 6.880 7.013
-2.842 3.717 2.516
1.034 5.310 4.766
0.450 1.826 3.161
8.208 4.989 7.662
4.339 3.372 5.410
2.447 4.291 7.871
4.716 3.664 13.603
-3.038 0.506 9.101
0.838 2.088 11.352
6.963 7.754 11.914
-0.798 4.580 7.409
3.073 6.219 9.674
-2.069 0.827 3.827
5.691 4.001 8.333
1.821 2.362 6.068
7.931 8.076 6.640
0.177 4.917 2.138
4.055 6.493 4.389
-3.278 3.635 10.149
4.478 6.795 14.652
0.601 5.213 12.401
6.003 4.186 14.272
-1.754 1.025 9.768
2.123 2.606 12.021
4.961 2.430 12.667
4.053 4.710 12.638
-2.796 -0.730 8.159
1.073 0.849 10.413
-3.704 1.552 8.137
0.179 3.137 10.387
-1.219 3.105 7.747
-2.091 5.403 7.738
6.559 6.276 12.257
2.685 4.702 9.996
5.653 8.559 12.237
1.783 6.975 10.053
-3.447 3.516 5.948
4.316 6.685 10.459
0.436 5.031 8.210
-2.268 0.766 5.367
5.486 3.927 9.869
1.558 2.366 7.600
7.161 7.815 10.374
3.335 6.215 8.142
-0.593 4.654 5.872
8.340 5.065 9.794
4.457 3.550 7.532
0.577 1.897 5.282
6.984 3.179 8.003
-0.760 0.022 3.504
6.112 5.476 7.994
-1.665 2.306 3.484
3.110 1.606 5.689
2.209 3.879 5.746
4.714 5.444 5.355
3.821 7.732 5.329
0.841 3.871 3.103
8.597 7.030 7.604
7.689 9.311 7.583
-0.068 6.152 3.075
2.770 5.975 3.721
-1.110 4.395 1.469
6.648 7.556 5.973
4.292 3.368 3.341
8.171 4.946 5.593
0.415 1.786 1.090

# 3
Li4MnP2O8 GGA+U relaxed; excess energy over the best structure of this formula in the dataset = 45 meV per atom; DFT total energy = -6.645 eV/atom
1.0
-3.368 -3.444 2.076
-2.471 4.855 3.028
-4.992 1.831 -8.548
Li Mn P O
8 2 4 16
Cartesian
-2.638 1.614 1.504
-5.135 2.530 -2.770
-5.696 0.712 -0.673
-8.192 1.628 -4.948
-3.514 -0.792 0.377
-6.011 0.124 -3.897
-4.820 3.119 0.453
-7.317 4.034 -3.820
-8.334 2.327 0.829
-2.471 4.855 3.028
-5.475 1.061 2.344
-7.972 1.976 -1.930
-2.859 1.266 -1.514
-5.356 2.182 -5.788
-5.170 2.298 3.250
-7.666 3.214 -1.025
-3.165 0.029 -2.420
-5.662 0.944 -6.694
-4.144 0.387 1.921
-6.641 1.302 -2.354
-4.191 1.940 -1.090
-6.687 2.857 -5.364
-2.096 0.797 -0.238
-4.592 1.713 -4.512
-6.239 1.530 1.068
-8.736 2.445 -3.206
-2.932 3.528 1.175
-5.429 4.444 -3.099
-5.402 -1.201 -0.344
-7.898 -0.286 -4.619

# 4
Li7VGeO8 GGA+U relaxed; excess energy over the best structure of this formula in the dataset = 28 meV per atom; DFT total energy = -5.833 eV/atom
1.0
6.403 0.000 0.000
0.000 5.410 0.000
0.000 0.174 10.854
Li V Ge O
14 2 2 16
Cartesian
3.202 3.814 10.018
4.813 1.836 8.948
1.590 1.836 8.948
1.726 4.622 7.185
4.677 4.622 7.185
0.000 1.190 6.340
3.202 4.556 4.688
4.787 1.097 3.786
1.616 1.097 3.786
1.894 3.196 1.956
4.509 3.196 1.956
5.184 5.071 1.803
1.219 5.071 1.803
0.000 1.870 0.710
0.000 4.637 9.939
0.000 3.725 4.433
3.202 1.838 6.368
3.202 0.894 0.810
3.202 1.805 10.098
0.000 0.971 9.925
5.004 4.014 9.154
1.399 4.014 9.154
1.740 1.208 7.171
4.663 1.208 7.171
3.202 3.624 6.366
0.000 4.392 5.999
3.202 1.155 4.713
0.000 1.979 4.443
4.983 4.296 3.534
1.420 4.296 3.534
1.722 1.402 1.718
4.681 1.402 1.718
3.202 4.498 1.014
0.000 3.920 0.827

# 5
LiCo3O2F6 GGA+U relaxed; excess energy over the best structure of this formula in the dataset = 9 meV per atom; DFT total energy = -5.061 eV/atom
1.0
-3.711 -0.559 -2.663
-2.706 -2.239 4.257
-2.799 9.754 1.646
Li Co O F
2 6 4 12
Cartesian
-5.503 7.495 5.890
-3.274 4.615 -0.509
-3.211 -1.388 0.793
-2.761 3.754 2.951
-2.947 6.718 2.307
-6.255 0.211 0.947
-3.191 1.647 0.312
-6.008 5.339 2.915
-4.474 0.106 0.686
-2.897 2.102 2.050
-6.316 4.874 1.196
-4.742 6.815 2.568
-2.881 -0.992 2.647
-4.483 3.120 0.034
-4.735 3.840 3.211
-6.333 7.956 0.582
-1.955 0.056 0.299
-6.253 1.967 1.863
-2.961 4.972 1.375
-7.260 6.922 2.942
-3.478 1.265 -1.641
-4.513 0.752 3.890
-4.706 6.217 -0.664
-5.756 5.671 4.889

# 6
Li7Mn5O12 GGA+U relaxed; excess energy over the best structure of this formula in the dataset = 17 meV per atom; DFT total energy = -6.388 eV/atom
1.0
-0.333 -1.883 -4.720
-7.421 -2.353 0.395
-6.673 8.358 -5.223
Li Mn O
14 10 24
Cartesian
-1.904 0.662 -4.807
-12.523 3.460 -4.742
-1.676 -0.868 -2.311
-5.078 2.307 -7.238
-9.349 1.815 -2.311
-12.752 4.989 -7.238
-3.196 1.622 -2.526
-6.720 4.888 -7.490
-7.707 -0.767 -2.059
-11.230 2.501 -7.022
-4.722 -0.781 -2.307
-8.179 2.364 -7.233
-6.248 1.757 -2.315
-9.704 4.903 -7.242
-10.923 0.885 -4.577
-0.334 -1.882 -4.720
-3.292 -1.784 -4.602
-6.485 3.313 -4.879
-7.941 0.810 -4.669
-11.135 5.905 -4.947
-4.837 0.726 -4.737
-8.049 5.845 -4.980
-6.379 -1.724 -4.569
-9.590 3.396 -4.812
-3.586 1.559 -5.951
-6.813 6.674 -6.195
-7.614 -2.552 -3.354
-10.840 2.563 -3.597
-1.513 0.705 -1.033
-5.033 3.931 -6.030
-9.393 0.191 -3.519
-12.915 3.417 -8.515
-6.631 1.628 -5.889
-9.604 6.657 -5.996
-4.824 -2.536 -3.552
-7.795 2.494 -3.659
-4.694 0.925 -1.056
-8.221 4.219 -6.002
-6.206 -0.097 -3.546
-9.732 3.197 -8.492
-6.182 -1.510 -0.848
-9.678 1.687 -5.819
-4.748 2.435 -3.729
-8.246 5.631 -8.700
-7.794 -0.919 -5.595
-11.165 4.331 -6.012
-3.262 -0.210 -3.537
-6.632 5.041 -3.953

# 7
Mn6O5F7 GGA+U relaxed; excess energy over the best structure of this formula in the dataset = 23 meV per atom; DFT total energy = -6.664 eV/atom
1.0
-1.857 2.905 3.268
-4.490 -3.383 0.694
3.405 -4.048 5.894
Mn O F
6 5 7
Cartesian
-3.082 -0.248 1.954
-0.523 -0.493 3.701
-2.514 -3.932 6.192
-1.881 -3.579 2.413
-0.972 -1.099 7.270
-0.083 0.001 0.138
-2.497 -2.042 6.337
0.314 -2.309 8.177
0.077 -0.671 5.537
-1.146 -0.305 1.854
-3.192 -2.262 1.753
-5.034 -1.927 4.631
-1.743 -4.294 8.199
-2.608 -0.513 4.062
-2.946 -3.796 4.056
-0.497 -3.977 5.884
-0.449 -2.442 3.490
2.060 -2.560 5.188

# 8
MgFeO2 GGA+U relaxed; DFT total energy = -6.156 eV/atom
1.0
-0.502 -1.760 -2.368
7.537 -0.386 -3.004
1.900 -7.437 3.257
Mg Fe O
4 4 8
Cartesian
4.532 -3.259 -2.357
4.403 -6.323 0.242
2.307 -3.495 0.267
6.628 -6.087 -2.382
7.131 -7.368 0.270
7.097 -2.979 -2.952
1.838 -6.603 0.837
1.805 -2.214 -2.385
3.383 -7.727 1.435
8.097 -5.739 -1.039
0.839 -3.843 -1.076
5.552 -1.855 -3.550
5.574 -7.291 -1.186
6.122 -3.003 -0.998
3.361 -2.290 -0.929
2.813 -6.579 -1.117

# 9
LiCoPO4 GGA+U relaxed; excess energy over the best structure of this formula in the dataset = 74 meV per atom; DFT total energy = -6.596 eV/atom
1.0
4.459 -0.446 -1.737
1.743 8.825 2.211
2.731 -0.199 7.061
Li Co P O
4 4 4 16
Cartesian
5.408 -0.503 1.956
4.051 4.132 3.930
7.046 -0.630 5.380
2.958 4.204 0.293
5.730 7.003 6.718
2.898 1.208 0.936
7.091 2.366 4.744
6.002 5.399 1.171
1.301 2.877 2.362
4.404 7.067 2.595
4.696 1.097 4.875
3.335 5.733 6.848
5.072 2.463 4.237
3.713 7.096 6.207
1.770 1.429 2.673
4.868 5.617 2.906
2.199 3.939 3.047
5.301 8.128 3.282
4.700 -0.054 3.838
3.340 4.581 5.811
1.486 2.946 0.788
4.588 7.137 1.021
5.872 0.891 5.920
4.512 5.528 7.892
4.276 2.717 0.967
2.920 7.355 2.937
3.346 1.092 5.637
6.444 5.285 5.872

# 10
MgV4O7F5 GGA+U relaxed; excess energy over the best structure of this formula in the dataset = 3 meV per atom; DFT total energy = -6.733 eV/atom
1.0
4.625 0.226 2.551
4.421 2.053 -2.471
-1.096 8.681 0.984
Mg V O F
1 4 7 5
Cartesian
5.598 9.344 0.038
5.363 3.231 1.036
1.974 4.373 1.453
2.794 7.567 0.055
4.361 2.034 -2.196
5.258 1.801 1.969
5.310 2.182 -0.659
4.475 7.625 0.005
3.432 3.596 1.087
2.400 6.105 1.285
6.940 9.407 1.562
1.017 4.167 0.068
6.911 6.751 1.091
7.367 3.279 0.830
5.490 4.939 -0.069
2.575 8.636 1.769
0.439 7.699 0.578

# 11
BaMgCoF7 GGA+U relaxed; DFT total energy = -5.141 eV/atom
1.0
9.929 0.000 0.000
0.000 5.661 0.000
0.000 0.535 9.588
Ba Mg Co F
4 4 4 28
Cartesian
3.136 4.421 4.795
8.100 2.043 9.587
6.793 1.776 4.793
1.829 4.153 0.001
3.935 2.152 7.764
8.899 4.312 6.617
1.029 1.885 2.970
5.993 4.044 1.824
6.072 4.999 7.775
3.857 1.197 1.813
8.821 4.732 2.981
1.107 1.465 6.607
4.437 5.086 1.205
0.490 3.752 3.542
7.087 3.386 7.185
2.841 2.810 2.403
4.521 0.843 3.488
8.059 4.466 4.734
7.757 5.917 7.196
9.486 5.086 1.305
4.475 4.019 8.336
2.123 3.078 7.196
0.527 5.354 5.998
5.491 1.110 8.383
2.793 0.547 7.185
9.518 3.961 8.402
5.407 5.354 6.099
0.443 1.110 8.282
2.171 0.279 2.391
9.401 0.843 3.589
4.554 2.503 5.980
9.439 2.445 6.045
0.410 2.235 1.186
7.135 5.650 2.402
5.374 3.694 3.608
3.095 1.463 0.060
1.870 1.730 4.854
6.834 4.734 9.528
5.454 2.177 1.251
7.805 3.119 2.391

| no. | formation enthalpy at 0 K (eV/atom) | mass density (kg/m³) |
| --- | --- | --- |
| 1 | -1.789 | 4683 |
| 2 | -2.926 | 2962 |
| 3 | -2.642 | 2793 |
| 4 | -2.336 | 2651 |
| 5 | -2.098 | 4229 |
| 6 | -2.140 | 3873 |
| 7 | -2.418 | 4238 |
| 8 | -2.072 | 3799 |
| 9 | -2.334 | 3286 |
| 10 | -2.720 | 3411 |
| 11 | -3.225 | 4358 |